1.
Material: PWO5
Method: DFT, meta-GGA r2SCAN
State: relaxed

E above lowest polymorph   30.9 meV per atom

Unit cell a=5.2266 b=5.2273 c=7.3424 alpha=110.28 beta=110.29 gamma=90.30
Closest atoms and distances in Å follow each position.
Atoms (fractional coordinates):
W  0.0000  0.5000  0.5000  6 O 1.89-1.99
O  0.3128  0.8051  0.1507  1 P 1.52
O  0.2536  0.2390  0.9201  1 P 1.53
P  0.3748  0.1252  0.7500  4 O 1.52-1.53
O  0.6948  0.1872  0.3489  1 P 1.52
O  0.3052  0.8128  0.6511  1 P 1.52
O  0.7464  0.7610  0.0799  1 P 1.53
W  0.0000  0.5000  0.0000  6 O 1.89-1.99
O  0.0618  0.4385  0.2501  2 W 1.89
O  0.6872  0.1949  0.8493  1 P 1.52
P  0.6252  0.8748  0.2500  4 O 1.52-1.53
O  0.7389  0.7539  0.4202  1 P 1.53
O  0.9382  0.5615  0.7499  2 W 1.89
O  0.2611  0.2461  0.5798  1 P 1.53

2.
Material: P2WO7
Method: DFT, meta-GGA r2SCAN
State: relaxed

E above lowest polymorph   28.8 meV per atom

Unit cell a=8.2746 b=8.2746 c=8.2746 alpha=90.00 beta=90.00 gamma=90.00
Closest atoms and distances in Å follow each position.
Atoms (fractional coordinates):
P  0.8902  0.1098  0.6098  4 O 1.50-1.57
O  0.0000  0.0000  0.5000  2 P 1.57
O  0.7816  0.5884  0.5558  1 P 1.50
O  0.5558  0.7816  0.5884  1 P 1.50
O  0.7816  0.9116  0.0558  1 P 1.50
P  0.1098  0.8902  0.3902  4 O 1.50-1.57
O  0.0558  0.7184  0.4116  1 P 1.50
P  0.8902  0.3902  0.1098  4 O 1.50-1.57
W  0.0000  0.0000  0.0000  6 O 2.00
P  0.1098  0.6098  0.8902  4 O 1.50-1.57
O  0.7184  0.0884  0.5558  1 P 1.50
O  0.2816  0.9116  0.4442  1 P 1.50
W  0.5000  0.0000  0.5000  6 O 2.00
P  0.6098  0.8902  0.1098  4 O 1.50-1.57
O  0.5000  0.5000  0.5000  2 P 1.57
W  0.5000  0.5000  0.0000  6 O 2.00
P  0.3902  0.1098  0.8902  4 O 1.50-1.57
O  0.5884  0.5558  0.7816  1 P 1.50
O  0.5558  0.7184  0.0884  1 P 1.50
O  0.9116  0.4442  0.2816  1 P 1.50
O  0.2816  0.5884  0.9442  1 P 1.50
O  0.2184  0.4116  0.4442  1 P 1.50
O  0.5884  0.9442  0.2816  1 P 1.50
O  0.9116  0.0558  0.7816  1 P 1.50
O  0.0884  0.9442  0.2184  1 P 1.50
P  0.6098  0.6098  0.6098  4 O 1.50-1.57
O  0.5000  0.0000  0.0000  2 P 1.57
P  0.3902  0.3902  0.3902  4 O 1.50-1.57
O  0.7184  0.4116  0.0558  1 P 1.50
O  0.4116  0.4442  0.2184  1 P 1.50
O  0.4442  0.2184  0.4116  1 P 1.50
O  0.0558  0.7816  0.9116  1 P 1.50
O  0.0884  0.5558  0.7184  1 P 1.50
O  0.4442  0.2816  0.9116  1 P 1.50
O  0.2184  0.0884  0.9442  1 P 1.50
O  0.4116  0.0558  0.7184  1 P 1.50
O  0.0000  0.5000  0.0000  2 P 1.57
O  0.9442  0.2184  0.0884  1 P 1.50
O  0.9442  0.2816  0.5884  1 P 1.50
W  0.0000  0.5000  0.5000  6 O 2.00

3.
Material: P3W2O13
Method: DFT, meta-GGA r2SCAN
State: relaxed

Unit cell a=6.3399 b=7.5152 c=11.3546 alpha=76.93 beta=86.65 gamma=78.66
Closest atoms and distances in Å follow each position.
Atoms (fractional coordinates):
P  0.2726  0.9408  0.8847  4 O 1.52-1.53
O  0.1350  0.3547  0.2186  1 P 1.51
O  0.2359  0.1053  0.7771  1 P 1.52
P  0.8849  0.5382  0.6826  4 O 1.50-1.60
O  0.9284  0.2050  0.5800  1 P 1.52
O  0.4910  0.8142  0.8791  1 P 1.52
O  0.1107  0.4552  0.6527  1 P 1.50
O  0.7546  0.0331  0.7628  1 P 1.48
O  0.6809  0.0203  0.4277  1 W 1.70
O  0.8650  0.6453  0.7814  1 P 1.51
P  0.1151  0.4618  0.3174  4 O 1.50-1.60
O  0.2390  0.3425  0.4276  1 P 1.52
O  0.1837  0.3836  0.9689  1 W 1.70
W  0.7545  0.8017  0.4039  1 O 1.70
O  0.3191  0.9797  0.5723  1 W 1.70
W  0.2455  0.1983  0.5961  1 O 1.70
O  0.7610  0.6575  0.5724  1 P 1.52
O  0.7641  0.8947  0.2229  1 P 1.52
O  0.5090  0.1858  0.1209  1 P 1.52
O  0.8893  0.5448  0.3473  1 P 1.50
O  0.2454  0.9669  0.2372  1 P 1.48
O  0.8965  0.1806  0.1078  1 P 1.53
O  0.2601  0.0124  0.0010  1 P 1.53
W  0.8013  0.7918  0.9064  1 O 1.70
O  0.2435  0.6264  0.2641  2 P 1.60
O  0.7399  0.9876  0.9990  1 P 1.53
O  0.7565  0.3736  0.7359  2 P 1.60
O  0.0716  0.7950  0.4200  1 P 1.52
O  0.1035  0.8194  0.8922  1 P 1.53
O  0.5276  0.2682  0.6055  1 P 1.52
O  0.4724  0.7318  0.3945  1 P 1.52
P  0.2587  0.7907  0.3298  4 O 1.48-1.60
O  0.8163  0.6164  0.0311  1 W 1.70
W  0.1987  0.2082  0.0936  1 O 1.70
P  0.7413  0.2093  0.6702  4 O 1.48-1.60
P  0.7274  0.0592  0.1153  4 O 1.52-1.53

4.
Material: ZnP3W3O13
Method: DFT, meta-GGA r2SCAN
State: relaxed

Unit cell a=6.5147 b=7.8040 c=10.4557 alpha=75.96 beta=90.00 gamma=90.00
Closest atoms and distances in Å follow each position.
Atoms (fractional coordinates):
W  0.2500  0.6060  0.1813  6 O 1.95-2.18
P  0.7500  0.7385  0.8490  4 O 1.53-1.57
O  0.5606  0.5905  0.1851  1 P 1.49
O  0.9394  0.5905  0.1851  1 P 1.49
O  0.2500  0.4435  0.0537  1 P 1.53
O  0.4436  0.1534  0.1370  1 P 1.54
O  0.2500  0.3267  0.2820  1 P 1.57
O  0.7500  0.5565  0.9463  1 P 1.53
W  0.5000  0.0000  0.0000  6 O 2.05-2.19
W  0.7500  0.8081  0.5091  5 O 2.01-2.18
O  0.9442  0.2397  0.4677  1 P 1.54
P  0.2500  0.3237  0.7791  4 O 1.49-1.63
P  0.2500  0.2615  0.1510  4 O 1.53-1.57
O  0.7500  0.8778  0.1298  1 P 1.63
O  0.4394  0.4095  0.8149  1 P 1.49
O  0.0558  0.7603  0.5323  1 P 1.54
O  0.7500  0.9933  0.6142  1 P 1.54
O  0.7500  0.6733  0.7180  1 P 1.57
O  0.7500  0.1581  0.9364  3 W 1.95-2.05
O  0.2500  0.0067  0.3858  1 P 1.54
W  0.0000  0.0000  0.0000  6 O 2.05-2.19
W  0.2500  0.1919  0.4909  5 O 2.01-2.18
P  0.7500  0.1941  0.5530  4 O 1.51-1.54
Zn  0.2500  0.9376  0.7075  3 O 2.48-2.56, 1 W 2.62
P  0.7500  0.6763  0.2209  4 O 1.49-1.63
P  0.2500  0.8059  0.4470  4 O 1.51-1.54
Zn  0.7500  0.0624  0.2925  3 O 2.48-2.56, 1 W 2.62
O  0.2500  0.3252  0.6327  1 P 1.53
O  0.4442  0.7603  0.5323  1 P 1.54
O  0.2500  0.8419  0.0636  3 W 1.95-2.05
O  0.0564  0.1534  0.1370  1 P 1.54
O  0.5558  0.2397  0.4677  1 P 1.54
O  0.0606  0.4095  0.8149  1 P 1.49
O  0.2500  0.1222  0.8702  1 P 1.63
O  0.7500  0.2953  0.6590  1 P 1.51
O  0.5564  0.8466  0.8630  1 P 1.54
O  0.7500  0.6748  0.3673  1 P 1.53
O  0.2500  0.7047  0.3410  1 P 1.51
O  0.9436  0.8466  0.8630  1 P 1.54
W  0.7500  0.3940  0.8187  6 O 1.95-2.18

We obtain energy of formation values of -2274 -2184 -2272 -1843 meV/atom for the records listed above, in that order.